A relaxed structure of Li3Fe5P6O24. Source: the Materials Project database, functional PBE with a Hubbard U.

Unit cell a=6.3727 b=15.8614 c=10.9236 alpha=89.76 beta=91.19 gamma=101.59
With the nearest neighbours (Å) after each atom.
Sites, in units of the cell vectors:
1 Li 0.2079 0.7277 0.4343  1 O 2.14
2 Li 0.0300 0.0601 0.2500  2 O 2.05
3 Li 0.5198 0.7277 0.0657  1 O 2.14
4 Li 0.4802 0.2723 0.9343  1 O 2.14
5 Li 0.9700 0.9399 0.7500  2 O 2.05
6 Li 0.7921 0.2723 0.5657  1 O 2.14
7 Fe 0.1964 0.8991 0.0769  5 O 1.93-1.98
8 Fe 0.0000 0.5000 0.0000  6 O 1.94-2.10
9 Fe 0.1917 0.3834 0.7500  6 O 2.00-2.12
10 Fe 0.1863 0.3726 0.2500  4 O 1.97-1.99
11 Fe 0.2973 0.1009 0.5769  5 O 1.93-1.98
12 Fe 0.5000 0.5000 0.5000  6 O 1.94-2.10
13 Fe 0.7027 0.8991 0.4231  5 O 1.93-1.98
14 Fe 0.8137 0.6274 0.7500  4 O 1.97-1.99
15 Fe 0.8083 0.6166 0.2500  6 O 2.00-2.12
16 Fe 0.8036 0.1009 0.9231  5 O 1.93-1.98
17 P 0.2136 0.9441 0.3706  4 O 1.53-1.57
18 P 0.0049 0.2966 0.9961  4 O 1.54-1.56
19 P 0.2815 0.5629 0.7500  4 O 1.53-1.60
20 P 0.2794 0.5588 0.2500  4 O 1.54-1.58
21 P 0.2917 0.2966 0.5039  4 O 1.54-1.56
22 P 0.2695 0.0559 0.8706  4 O 1.53-1.57
23 P 0.7305 0.9441 0.1294  4 O 1.53-1.57
24 P 0.7083 0.7034 0.4961  4 O 1.54-1.56
25 P 0.7206 0.4412 0.7500  4 O 1.54-1.58
26 P 0.7185 0.4371 0.2500  4 O 1.53-1.60
27 P 0.9951 0.7034 0.0039  4 O 1.54-1.56
28 P 0.7864 0.0559 0.6294  4 O 1.53-1.57
29 O 0.0054 0.8868 0.4168  1 P 1.54
30 O 0.2042 0.9654 0.2305  1 P 1.57
31 O 0.2111 0.9639 0.9266  1 P 1.56
32 O 0.1852 0.7798 0.0314  1 P 1.56
33 O 0.1008 0.6240 0.0032  1 P 1.54
34 O 0.1167 0.6188 0.7234  1 P 1.53
35 O 0.1232 0.6189 0.2758  1 P 1.54
36 O 0.3917 0.8948 0.4013  1 P 1.53
37 O 0.2138 0.4954 0.8579  1 P 1.60
38 O 0.2106 0.4926 0.1418  1 P 1.58
39 O 0.1185 0.2853 0.1194  1 P 1.54
40 O 0.1753 0.3040 0.8941  1 P 1.56
41 O 0.1287 0.3040 0.6059  1 P 1.56
42 O 0.1668 0.2853 0.3806  1 P 1.54
43 O 0.2816 0.4954 0.6421  1 P 1.60
44 O 0.2820 0.4926 0.3582  1 P 1.58
45 O 0.5031 0.8948 0.0987  1 P 1.53
46 O 0.1186 0.1132 0.9168  1 P 1.54
47 O 0.5020 0.6188 0.7766  1 P 1.53
48 O 0.4957 0.6189 0.2242  1 P 1.54
49 O 0.5232 0.6240 0.4968  1 P 1.54
50 O 0.2388 0.0346 0.7305  1 P 1.57
51 O 0.5946 0.7798 0.4686  1 P 1.56
52 O 0.2472 0.0361 0.4266  1 P 1.56
53 O 0.7528 0.9639 0.5734  1 P 1.56
54 O 0.4054 0.2202 0.5314  1 P 1.56
55 O 0.7612 0.9654 0.2695  1 P 1.57
56 O 0.4768 0.3760 0.5032  1 P 1.54
57 O 0.5043 0.3811 0.7758  1 P 1.54
58 O 0.4980 0.3812 0.2234  1 P 1.53
59 O 0.8814 0.8868 0.0832  1 P 1.54
60 O 0.4969 0.1052 0.9013  1 P 1.53
61 O 0.7180 0.5074 0.6418  1 P 1.58
62 O 0.7184 0.5046 0.3579  1 P 1.60
63 O 0.8332 0.7147 0.6194  1 P 1.54
64 O 0.8713 0.6960 0.3941  1 P 1.56
65 O 0.8247 0.6960 0.1059  1 P 1.56
66 O 0.8815 0.7147 0.8806  1 P 1.54
67 O 0.7894 0.5074 0.8582  1 P 1.58
68 O 0.7862 0.5046 0.1421  1 P 1.60
69 O 0.6083 0.1052 0.5987  1 P 1.53
70 O 0.8768 0.3811 0.7242  1 P 1.54
71 O 0.8833 0.3812 0.2766  1 P 1.53
72 O 0.8992 0.3760 0.9968  1 P 1.54
73 O 0.8148 0.2202 0.9686  1 P 1.56
74 O 0.7889 0.0361 0.0734  1 P 1.56
75 O 0.7958 0.0346 0.7695  1 P 1.57
76 O 0.9946 0.1132 0.5832  1 P 1.54

## Properties
**Space-group type**: No. 15
**MP2020-corrected energy**: -7.625 eV/atom
**Total magnetic moment**: 0.658 μB per atom
**Final energy**: -6.895 eV per atom
**E_form**: -230 kJ per mole of atoms
**Polymorph energy (0 for the lowest one)**: 0.0 meV/atom